Record 1
A geometry-optimized PtI2 structure, computed with r²SCAN.

The structure in CIF format:
```
data_PtI2
_chemical_formula_sum 'Pt4 I8'
_cell_length_a 6.802
_cell_length_b 8.917
_cell_length_c 7.024
_cell_angle_alpha 90.00
_cell_angle_beta 103.28
_cell_angle_gamma 90.00
_symmetry_space_group_name_H-M 'P 1 21/c 1'
_symmetry_Int_Tables_number 14
loop_
_symmetry_equiv_pos_as_xyz
'x,y,z'
'-x,-y,-z'
'-x,y+1/2,-z+1/2'
'x,-y+1/2,z+1/2'
loop_
_atom_site_label
_atom_site_fract_x
_atom_site_fract_y
_atom_site_fract_z
Pt1 0.228 0.130 0.000
I1 0.017 0.576 0.274
I2 0.447 0.176 0.742
```

Properties
Calculated formation energy, eV/atom: -0.218
V, Å³/cell: 414.6
Calculated total energy, eV per atom: -33.753
Spin magnetization, μB/f.u.: 0.0

=====

Record 2
A geometry-optimized Pm2ZnAg structure, computed with r²SCAN.

The structure in CIF format:
```
data_Pm2ZnAg
_chemical_formula_sum 'Pm8 Zn4 Ag4'
_cell_length_a 7.363
_cell_length_b 7.363
_cell_length_c 7.363
_cell_angle_alpha 90.00
_cell_angle_beta 90.00
_cell_angle_gamma 90.00
_symmetry_space_group_name_H-M 'F m -3 m'
_symmetry_Int_Tables_number 225
_symmetry_space_group_name_Hall '-F 4 2 3'
loop_
_atom_site_label
_atom_site_fract_x
_atom_site_fract_y
_atom_site_fract_z
Pm1 0.250 0.250 0.250
Zn1 0.000 0.000 0.000
Ag1 0.000 0.000 0.500
```

Properties
Calculated formation energy, eV/atom: -0.308
V, Å³/cell: 399.2
Calculated total energy, eV per atom: -22.645
Spin magnetization, μB/f.u.: 0.0

=====

Record 3
A geometry-optimized MgPb2 structure, computed with r²SCAN.

The structure in CIF format:
```
data_MgPb2
_chemical_formula_sum 'Mg2 Pb4'
_cell_length_a 3.4988
_cell_length_b 3.4988
_cell_length_c 15.7763
_cell_angle_alpha 90.00
_cell_angle_beta 90.00
_cell_angle_gamma 120.00
_symmetry_space_group_name_H-M 'P -6 m 2'
_symmetry_Int_Tables_number 187
_symmetry_space_group_name_Hall 'P -6 2'
loop_
_atom_site_label
_atom_site_fract_x
_atom_site_fract_y
_atom_site_fract_z
Mg1 0.0000 0.0000 0.1586
Pb1 0.0000 0.0000 0.5000
Pb2 0.3333 0.6667 0.0000
Pb3 0.3333 0.6667 0.3146
```

Properties
Energy above the most stable polymorph in this dataset, meV/atom: 37.1
Calculated formation energy, eV/atom: -0.013
V, Å³/cell: 167.3
Calculated total energy, eV per atom: -38.926
Spin magnetization, μB/f.u.: 0.0

=====

Record 4
A geometry-optimized TiAu structure, computed with r²SCAN.

The structure in CIF format:
```
data_TiAu
_chemical_formula_sum 'Ti2 Au2'
_cell_length_a 4.615
_cell_length_b 2.955
_cell_length_c 4.948
_cell_angle_alpha 90.00
_cell_angle_beta 90.00
_cell_angle_gamma 90.00
_symmetry_space_group_name_H-M 'P m m a'
_symmetry_Int_Tables_number 51
loop_
_symmetry_equiv_pos_as_xyz
'x,y,z'
'-x,-y,-z'
'-x+1/2,-y,z'
'x+1/2,y,-z'
'x+1/2,-y,-z'
'-x+1/2,y,z'
'-x,y,-z'
'x,-y,z'
loop_
_atom_site_label
_atom_site_fract_x
_atom_site_fract_y
_atom_site_fract_z
Ti1 0.250 0.000 0.180
Au1 0.250 0.500 0.676
```

Properties
Calculated formation energy, eV/atom: -0.476
V, Å³/cell: 67.5
Calculated total energy, eV per atom: -32.237
Spin magnetization, μB/f.u.: 1.2

=====

Record 5
A geometry-optimized SrSb2 structure, computed with r²SCAN.

The structure in CIF format:
```
data_SrSb2
_chemical_formula_sum 'Sr2 Sb4'
_cell_length_a 4.921
_cell_length_b 4.360
_cell_length_c 9.330
_cell_angle_alpha 90.00
_cell_angle_beta 102.08
_cell_angle_gamma 90.00
_symmetry_space_group_name_H-M 'P 1 21/m 1'
_symmetry_Int_Tables_number 11
loop_
_symmetry_equiv_pos_as_xyz
'x,y,z'
'-x,-y,-z'
'-x,y+1/2,-z'
'x,-y+1/2,z'
loop_
_atom_site_label
_atom_site_fract_x
_atom_site_fract_y
_atom_site_fract_z
Sr1 0.088 0.250 0.214
Sb1 0.315 0.750 0.520
Sb2 0.454 0.250 0.892
```

Properties
Calculated formation energy, eV/atom: -0.785
V, Å³/cell: 195.8
Calculated total energy, eV per atom: -22.971
Spin magnetization, μB/f.u.: 0.0

=====

Record 6
A geometry-optimized Li3CuF6 structure, computed with r²SCAN.

The structure in CIF format:
```
data_Li3CuF6
_chemical_formula_sum 'Li18 Cu6 F36'
_cell_length_a 8.240
_cell_length_b 8.242
_cell_length_c 9.817
_cell_angle_alpha 85.51
_cell_angle_beta 85.52
_cell_angle_gamma 61.78
_symmetry_space_group_name_H-M 'P -1'
_symmetry_Int_Tables_number 2
loop_
_symmetry_equiv_pos_as_xyz
'x,y,z'
'-x,-y,-z'
loop_
_atom_site_label
_atom_site_fract_x
_atom_site_fract_y
_atom_site_fract_z
Li1 0.006 0.203 0.268
Li2 0.060 0.843 0.067
Li3 0.134 0.031 0.550
Li4 0.184 0.316 0.750
Li5 0.297 0.494 0.232
Li6 0.326 0.136 0.034
Li7 0.343 0.560 0.566
Li8 0.364 0.174 0.466
Li9 0.468 0.367 0.950
Cu1 0.000 0.500 0.000
Cu2 0.000 0.500 0.500
Cu3 0.335 0.842 0.793
Cu4 0.342 0.835 0.293
F1 0.068 0.581 0.331
F2 0.081 0.568 0.832
F3 0.085 0.260 0.436
F4 0.095 0.261 0.934
F5 0.102 0.917 0.888
F6 0.105 0.931 0.384
F7 0.230 0.774 0.655
F8 0.239 0.405 0.566
F9 0.240 0.415 0.064
F10 0.246 0.062 0.194
F11 0.248 0.071 0.695
F12 0.274 0.730 0.155
F13 0.409 0.927 0.437
F14 0.417 0.601 0.388
F15 0.427 0.910 0.937
F16 0.429 0.252 0.805
F17 0.431 0.606 0.884
F18 0.438 0.254 0.306
```

Properties
Energy above the most stable polymorph in this dataset, meV/atom: 0.5
Calculated formation energy, eV/atom: -2.606
V, Å³/cell: 585.0
Calculated total energy, eV per atom: -6.283
Spin magnetization, μB/f.u.: 2.0

=====

Record 7
A geometry-optimized YCl structure, computed with r²SCAN.

The structure in CIF format:
```
data_YCl
_chemical_formula_sum 'Y6 Cl6'
_cell_length_a 3.7482
_cell_length_b 3.7482
_cell_length_c 28.1374
_cell_angle_alpha 90.00
_cell_angle_beta 90.00
_cell_angle_gamma 120.00
_symmetry_space_group_name_H-M 'R -3 m'
_symmetry_Int_Tables_number 166
_symmetry_space_group_name_Hall '-R 3 2"'
loop_
_atom_site_label
_atom_site_fract_x
_atom_site_fract_y
_atom_site_fract_z
Y1 0.0000 0.0000 0.2162
Cl1 0.0000 0.0000 0.3895
```

Properties
Calculated formation energy, eV/atom: -1.707
V, Å³/cell: 342.3
Calculated total energy, eV per atom: -14.940
Spin magnetization, μB/f.u.: 0.9

=====

Record 8
A geometry-optimized PrGaNi structure, computed with r²SCAN.

The structure in CIF format:
```
data_PrGaNi
_chemical_formula_sum 'Pr4 Ga4 Ni4'
_cell_length_a 7.209
_cell_length_b 4.499
_cell_length_c 7.132
_cell_angle_alpha 90.00
_cell_angle_beta 90.00
_cell_angle_gamma 90.00
_symmetry_space_group_name_H-M 'P n m a'
_symmetry_Int_Tables_number 62
loop_
_symmetry_equiv_pos_as_xyz
'x,y,z'
'-x,-y,-z'
'-x+1/2,-y,z+1/2'
'x+1/2,y,-z+1/2'
'x+1/2,-y+1/2,-z+1/2'
'-x+1/2,y+1/2,z+1/2'
'-x,y+1/2,-z'
'x,-y+1/2,z'
loop_
_atom_site_label
_atom_site_fract_x
_atom_site_fract_y
_atom_site_fract_z
Pr1 0.035 0.250 0.186
Ga1 0.168 0.250 0.587
Ni1 0.188 0.750 0.406
```

Properties
Calculated formation energy, eV/atom: -0.549
V, Å³/cell: 231.3
Calculated total energy, eV per atom: -18.159
Spin magnetization, μB/f.u.: 0.0

=====

Record 9
A geometry-optimized Rb3AuCl6 structure, computed with r²SCAN.

The structure in CIF format:
```
data_Rb3AuCl6
_chemical_formula_sum 'Rb12 Au4 Cl24'
_cell_length_a 11.044
_cell_length_b 11.044
_cell_length_c 11.044
_cell_angle_alpha 90.00
_cell_angle_beta 90.00
_cell_angle_gamma 90.00
_symmetry_space_group_name_H-M 'F m -3 m'
_symmetry_Int_Tables_number 225
_symmetry_space_group_name_Hall '-F 4 2 3'
loop_
_atom_site_label
_atom_site_fract_x
_atom_site_fract_y
_atom_site_fract_z
Rb1 0.000 0.000 0.000
Rb2 0.250 0.250 0.250
Au1 0.000 0.000 0.500
Cl1 0.000 0.000 0.275
```

Properties
Calculated formation energy, eV/atom: -1.347
V, Å³/cell: 1346.9
Calculated total energy, eV per atom: -14.276
Spin magnetization, μB/f.u.: 2.0

=====

Record 10
A geometry-optimized Ba2HfO4 structure, computed with r²SCAN.

The structure in CIF format:
```
data_Ba2HfO4
_chemical_formula_sum 'Ba4 Hf2 O8'
_cell_length_a 4.161
_cell_length_b 4.161
_cell_length_c 13.556
_cell_angle_alpha 90.00
_cell_angle_beta 90.00
_cell_angle_gamma 90.00
_symmetry_space_group_name_H-M 'I 4/m m m'
_symmetry_Int_Tables_number 139
_symmetry_space_group_name_Hall '-I 4 2'
loop_
_atom_site_label
_atom_site_fract_x
_atom_site_fract_y
_atom_site_fract_z
Ba1 0.000 0.000 0.147
Hf1 0.000 0.000 0.500
O1 0.000 0.000 0.345
O2 0.000 0.500 0.000
```

Properties
Calculated formation energy, eV/atom: -3.427
V, Å³/cell: 234.7
Calculated total energy, eV per atom: -20.862
Spin magnetization, μB/f.u.: 0.0

=====

Record 11
A geometry-optimized AuSO4 structure, computed with r²SCAN.

The structure in CIF format:
```
data_AuSO4
_chemical_formula_sum 'Au8 S8 O32'
_cell_length_a 8.323
_cell_length_b 10.084
_cell_length_c 8.583
_cell_angle_alpha 90.00
_cell_angle_beta 90.00
_cell_angle_gamma 90.00
_symmetry_space_group_name_H-M 'P b c a'
_symmetry_Int_Tables_number 61
loop_
_symmetry_equiv_pos_as_xyz
'x,y,z'
'-x,-y,-z'
'-x+1/2,-y,z+1/2'
'x+1/2,y,-z+1/2'
'x+1/2,-y+1/2,-z'
'-x+1/2,y+1/2,z'
'-x,y+1/2,-z+1/2'
'x,-y+1/2,z+1/2'
loop_
_atom_site_label
_atom_site_fract_x
_atom_site_fract_y
_atom_site_fract_z
Au1 0.052 0.014 0.136
S1 0.228 0.143 0.422
O1 0.119 0.651 0.326
O2 0.135 0.025 0.371
O3 0.144 0.234 0.911
O4 0.227 0.618 0.591
```

Properties
Calculated formation energy, eV/atom: -0.937
V, Å³/cell: 720.3
Calculated total energy, eV per atom: -14.689
Spin magnetization, μB/f.u.: 0.0

=====

Record 12
A geometry-optimized Na2Si2S5 structure, computed with r²SCAN.

The structure in CIF format:
```
data_Na2Si2S5
_chemical_formula_sum 'Na16 Si16 S40'
_cell_length_a 12.725
_cell_length_b 12.718
_cell_length_c 10.412
_cell_angle_alpha 90.00
_cell_angle_beta 90.00
_cell_angle_gamma 90.00
_symmetry_space_group_name_H-M 'C m c m'
_symmetry_Int_Tables_number 63
_symmetry_space_group_name_Hall '-C 2c 2'
loop_
_atom_site_label
_atom_site_fract_x
_atom_site_fract_y
_atom_site_fract_z
Na1 0.152 0.000 0.000
Na2 0.162 0.258 0.250
Si1 0.000 0.253 0.584
Si2 0.136 0.447 0.750
S1 0.000 0.154 0.750
S2 0.000 0.159 0.077
S3 0.000 0.454 0.250
S4 0.140 0.348 0.582
S5 0.233 0.039 0.750
```

Properties
Calculated formation energy, eV/atom: -1.056
V, Å³/cell: 1684.9
Calculated total energy, eV per atom: -8.261
Spin magnetization, μB/f.u.: 0.0